1.
Computed, not measured: crystalline Zr6Al16Pd7 at its relaxed geometry at the PBE level of DFT.

Geometry as POSCAR:
```
Zr6Al16Pd7
1.0
0.0000 6.2216 6.2216
6.2216 0.0000 6.2216
6.2216 6.2216 0.0000
Zr Al Pd
6 16 7
direct
0.1869 0.1869 0.8131
0.1869 0.8131 0.1869
0.1869 0.8131 0.8131
0.8131 0.1869 0.1869
0.8131 0.1869 0.8131
0.8131 0.8131 0.1869
0.1384 0.6205 0.6205
0.1657 0.1657 0.1657
0.1657 0.1657 0.5029
0.1657 0.5029 0.1657
0.3795 0.3795 0.3795
0.3795 0.3795 0.8616
0.3795 0.8616 0.3795
0.4971 0.8343 0.8343
0.5029 0.1657 0.1657
0.6205 0.1384 0.6205
0.6205 0.6205 0.1384
0.6205 0.6205 0.6205
0.8343 0.4971 0.8343
0.8343 0.8343 0.4971
0.8343 0.8343 0.8343
0.8616 0.3795 0.3795
0.0000 0.0000 0.5000
0.0000 0.5000 0.0000
0.0000 0.5000 0.5000
0.5000 0.0000 0.0000
0.5000 0.0000 0.5000
0.5000 0.5000 0.0000
0.5000 0.5000 0.5000
```

Output
Its formation energy is -0.76 eV per atom. Its total magnetization is 0.02 μB/f.u. The calculation puts the density at 5.9 g cm⁻³.

2.
Computed, not measured: crystalline Tm2Ni21B6 at its relaxed geometry at the PBE level of DFT.

Geometry as POSCAR:
```
Tm2Ni21B6
1.0
0.0000 5.3164 5.3164
5.3164 0.0000 5.3164
5.3164 5.3164 0.0000
Tm Ni B
2 21 6
direct
0.2500 0.2500 0.2500
0.7500 0.7500 0.7500
0.0000 0.0000 0.0000
0.0000 0.0000 0.3370
0.0000 0.0000 0.6630
0.0000 0.3370 0.0000
0.0000 0.3370 0.6630
0.0000 0.6630 0.0000
0.0000 0.6630 0.3370
0.1622 0.6126 0.6126
0.3370 0.0000 0.0000
0.3370 0.0000 0.6630
0.3370 0.6630 0.0000
0.3874 0.3874 0.3874
0.3874 0.3874 0.8378
0.3874 0.8378 0.3874
0.6126 0.1622 0.6126
0.6126 0.6126 0.1622
0.6126 0.6126 0.6126
0.6630 0.0000 0.0000
0.6630 0.0000 0.3370
0.6630 0.3370 0.0000
0.8378 0.3874 0.3874
0.2705 0.2705 0.7295
0.2705 0.7295 0.2705
0.2705 0.7295 0.7295
0.7295 0.2705 0.2705
0.7295 0.2705 0.7295
0.7295 0.7295 0.2705
```

Output
Its formation energy is -0.36 eV per atom. The calculation puts the density at 9.0 g cm⁻³.

3.
Computed, not measured: crystalline Sr4Li2Ta2Al2N8O at its relaxed geometry at the PBE level of DFT.

Geometry as POSCAR:
```
Sr4Li2Ta2Al2N8O
1.0
6.0521 0.0000 0.0000
0.0000 10.0901 0.0000
-5.5042 0.0000 9.4817
Sr Li Ta Al N O
8 4 4 4 16 2
direct
0.0673 0.2397 0.0694
0.0673 0.2603 0.5694
0.2677 0.5654 0.8030
0.2677 0.9346 0.3030
0.7323 0.0654 0.6970
0.7323 0.4346 0.1970
0.9327 0.7397 0.4306
0.9327 0.7603 0.9306
0.3100 0.0065 0.0034
0.3100 0.4935 0.5034
0.6900 0.5065 0.4966
0.6900 0.9935 0.9966
0.2732 0.5975 0.2394
0.2732 0.9025 0.7394
0.7268 0.0975 0.2606
0.7268 0.4025 0.7606
0.3823 0.2442 0.8997
0.3823 0.2558 0.3997
0.6177 0.7442 0.6003
0.6177 0.7558 0.1003
0.0700 0.1663 0.3333
0.0700 0.3337 0.8333
0.3070 0.0900 0.7877
0.3070 0.4100 0.2877
0.3876 0.6342 0.1038
0.3876 0.8658 0.6038
0.4904 0.6887 0.4149
0.4904 0.8113 0.9149
0.5096 0.1887 0.0851
0.5096 0.3113 0.5851
0.6124 0.1342 0.3962
0.6124 0.3658 0.8962
0.6930 0.5900 0.7123
0.6930 0.9100 0.2123
0.9300 0.6663 0.1667
0.9300 0.8337 0.6667
0.0000 0.0000 0.0000
0.0000 0.5000 0.5000
```

Output
Its formation energy is -1.34 eV per atom. Its total magnetization is 0.00 μB/f.u. The calculation puts the density at 5.2 g cm⁻³.